# Li3TeHO4 | the Materials Project | PBE | optimized geometry
data_Li3TeHO4
_space_group_name_H-M_alt 'P 1 21/m 1'
_space_group_IT_number 11
_space_group_name_Hall '-P 2yb'
_cell_length_a 5.527
_cell_length_b 6.417
_cell_length_c 6.866
_cell_angle_alpha 90.00
_cell_angle_beta 113.26
_cell_angle_gamma 90.00
loop_
_atom_site_label
_atom_site_type_symbol
_atom_site_fract_x
_atom_site_fract_y
_atom_site_fract_z
_atom_site_occupancy
Li1 Li 0.218 0.250 0.149 1
Li2 Li 0.248 0.515 0.848 1
Te1 Te 0.325 0.750 0.314 1
H1 H 0.016 0.250 0.438 1
O1 O 0.027 0.750 0.714 1
O2 O 0.048 0.250 0.822 1
O3 O 0.406 0.525 0.172 1
# energy	-5.199	eV per atom
# crystal system	monoclinic